No. 1
Here is crystalline Na10La6Ta2Si7S5O48 at its relaxed geometry from the Materials Project. Energies are from GGA-PBE.

Cell and atoms, written as extended XYZ:
```
234
Lattice="9.519 0.000 0.000 -0.005 16.412 0.000 -0.004 -0.070 23.753" Properties=species:S:1:pos:R:3 pbc="T T T"
Na 0.000 0.000 0.000
Na 0.056 4.963 15.867
Na 0.120 5.279 7.490
Na 0.129 15.737 7.771
Na 1.142 13.191 3.959
Na 1.207 8.161 11.863
Na 1.349 2.463 3.878
Na 1.581 2.386 19.564
Na 2.748 5.323 17.568
Na 2.856 10.322 1.900
Na 2.958 16.029 21.449
Na 2.979 15.870 9.662
Na 2.999 5.411 5.756
Na 3.236 10.459 13.643
Na 4.036 2.336 7.747
Na 4.656 2.259 15.404
Na 4.713 2.056 23.544
Na 4.912 7.958 23.737
Na 5.796 16.270 11.917
Na 6.002 10.303 11.734
Na 6.066 10.502 3.479
Na 6.229 15.788 19.512
Na 7.481 2.284 1.811
Na 7.573 7.968 9.599
Na 7.732 7.574 21.534
Na 7.807 2.124 13.751
Na 7.822 13.443 17.517
Na 7.887 13.326 5.593
Na 9.148 10.610 7.628
Na 9.384 10.540 15.562
La 2.822 10.387 5.308
La 2.871 15.971 6.013
La 2.895 16.098 17.769
La 2.902 16.038 13.213
La 2.953 5.068 21.095
La 3.091 5.086 9.319
La 3.094 10.486 17.066
La 3.120 10.623 22.071
La 3.118 16.105 1.358
La 7.638 7.885 13.293
La 7.669 13.161 21.143
La 7.698 7.998 5.893
La 7.699 13.217 9.281
La 7.742 2.308 5.156
La 7.782 2.444 10.208
La 7.791 7.862 1.335
La 7.901 2.213 17.133
La 7.906 7.705 17.963
Ta 2.767 10.614 10.226
Ta 3.095 5.146 13.893
Ta 3.186 4.983 2.086
Ta 7.534 13.152 13.958
Ta 7.653 13.380 2.027
Ta 7.957 2.391 22.111
Si 0.020 15.938 3.546
Si 1.091 2.355 7.569
Si 1.170 7.706 15.368
Si 1.392 8.161 7.914
Si 1.569 2.679 23.504
Si 1.625 2.325 15.546
Si 1.637 13.009 7.719
Si 4.335 7.650 11.574
Si 4.422 2.237 3.639
Si 4.499 2.640 11.602
Si 4.799 7.774 3.493
Si 4.840 13.186 11.568
Si 5.850 4.933 23.423
Si 5.909 15.929 15.470
Si 6.249 10.815 23.572
Si 6.368 10.367 15.444
Si 6.410 15.779 23.357
Si 9.060 4.768 19.580
Si 9.102 10.566 3.686
Si 9.163 10.888 11.639
Si 9.233 16.340 19.766
S 0.148 10.515 19.490
S 0.250 5.027 11.779
S 0.945 13.179 23.652
S 1.287 13.461 15.495
S 1.737 7.447 23.615
S 4.373 13.141 19.502
S 4.490 8.043 19.599
S 4.602 13.490 3.642
S 5.002 2.218 19.636
S 5.712 10.476 7.762
S 6.132 5.272 15.513
S 6.292 16.311 7.736
S 6.396 4.892 7.634
S 8.986 15.657 11.690
S 9.438 5.317 3.682
O 0.001 2.269 8.813
O 0.043 2.721 15.549
O 0.168 7.242 16.597
O 0.192 13.251 22.400
O 0.279 2.441 6.151
O 0.310 7.692 23.745
O 0.316 7.971 14.019
O 0.849 15.521 4.921
O 0.897 15.870 11.817
O 0.919 10.456 18.217
O 0.937 5.022 10.481
O 1.037 16.052 2.293
O 1.086 10.582 20.654
O 1.176 10.920 3.689
O 1.188 4.705 19.612
O 1.271 5.058 12.900
O 1.336 10.847 11.488
O 1.362 0.010 19.713
O 1.416 5.235 3.549
O 1.591 14.243 16.722
O 1.761 11.951 23.728
O 1.764 12.049 15.638
O 1.784 14.388 23.729
O 1.892 14.046 14.311
O 1.901 6.620 7.964
O 1.908 8.852 6.551
O 1.969 1.222 14.439
O 1.981 9.176 9.190
O 1.990 6.875 22.289
O 1.999 9.084 15.658
O 2.015 0.974 7.629
O 2.012 3.737 1.031
O 2.012 12.322 6.303
O 2.021 1.125 23.677
O 2.064 3.683 7.639
O 2.164 6.376 15.168
O 2.199 11.985 9.002
O 2.214 3.210 22.136
O 2.224 14.525 7.880
O 2.259 1.774 16.987
O 2.266 6.611 0.937
O 2.456 3.757 15.192
O 2.506 8.739 23.725
O 3.483 9.107 11.562
O 3.566 3.701 3.427
O 3.701 1.527 4.934
O 3.724 6.680 12.853
O 3.778 14.508 19.580
O 3.827 1.159 11.730
O 3.835 6.415 3.219
O 3.861 6.707 19.435
O 3.892 3.775 12.773
O 3.883 12.423 18.314
O 3.888 14.442 11.810
O 3.895 14.067 2.490
O 3.909 9.135 3.658
O 3.991 12.402 20.739
O 4.007 3.316 19.684
O 4.017 6.844 10.243
O 4.032 8.875 18.457
O 4.050 8.694 20.879
O 4.054 11.726 11.389
O 4.139 1.447 2.255
O 4.174 3.221 10.121
O 4.212 12.078 3.795
O 4.247 0.905 19.649
O 4.393 14.283 4.860
O 4.595 10.678 23.737
O 4.634 5.269 15.257
O 4.718 4.787 0.987
O 4.795 10.690 15.666
O 4.815 10.498 8.955
O 4.815 16.194 7.679
O 4.834 16.124 23.535
O 4.877 5.215 22.188
O 4.918 5.024 7.591
O 4.931 16.126 14.196
O 4.983 10.516 6.488
O 5.047 15.708 16.864
O 5.679 7.998 2.158
O 5.740 2.325 18.369
O 5.782 7.554 4.796
O 5.792 13.504 10.322
O 5.857 13.282 19.400
O 5.907 2.206 20.826
O 5.923 7.970 11.698
O 5.960 7.950 19.602
O 5.995 2.585 3.720
O 5.998 12.956 12.862
O 6.103 13.508 3.385
O 6.123 2.478 11.869
O 6.349 6.079 16.718
O 6.519 3.857 15.675
O 6.523 9.713 13.974
O 6.562 9.241 7.819
O 6.621 11.524 22.183
O 6.643 0.585 9.013
O 6.651 3.470 23.262
O 6.648 11.645 7.757
O 6.660 15.010 21.974
O 6.773 0.700 6.587
O 6.802 0.890 15.533
O 6.806 4.107 6.455
O 6.806 11.929 1.061
O 6.815 6.186 23.652
O 6.830 4.197 8.878
O 6.836 5.826 14.349
O 6.867 9.317 23.610
O 6.885 14.585 15.090
O 6.978 14.994 7.639
O 7.044 14.836 0.858
O 7.088 6.212 7.619
O 7.162 11.875 15.311
O 7.214 9.553 16.580
O 7.268 0.820 23.403
O 8.230 0.524 11.873
O 8.324 12.033 3.358
O 8.432 10.071 5.128
O 8.440 6.261 19.758
O 8.457 14.694 12.709
O 8.483 3.740 20.867
O 8.536 14.626 3.278
O 8.542 11.410 10.253
O 8.564 14.862 19.805
O 8.585 0.627 18.462
O 8.643 4.129 18.147
O 8.685 9.349 11.800
O 8.705 0.915 3.620
O 8.706 9.478 2.579
O 8.708 11.880 12.911
O 8.731 0.938 21.073
O 8.730 15.154 10.319
O 8.810 11.729 19.433
O 8.838 9.289 19.621
O 8.850 6.044 2.565
O 8.920 3.920 3.663
O 8.947 6.248 11.847
O 8.956 3.812 11.960
O 9.136 5.986 4.986
O 9.260 8.222 7.925
O 9.306 13.393 15.369
O 9.395 2.631 23.353
O 9.498 13.094 7.761
O 9.505 13.226 1.072
```

---

No. 2
Here is crystalline TeMoWSeS2 at its relaxed geometry from the Materials Project. Energies are from GGA-PBE.

Computed properties:
Offset from the most stable computed form, meV per atom: 0

Cell and atoms, written as extended XYZ:
```
12
Lattice="3.304 0.000 0.000 -1.652 2.862 0.000 0.000 0.000 37.596" Properties=species:S:1:pos:R:3 pbc="T T T"
Te 0.000 0.000 0.000
Te 0.000 0.000 3.821
Mo 1.652 0.954 1.910
Mo 1.652 0.954 16.036
W 0.000 0.000 8.974
W 0.000 0.000 23.101
Se 0.000 0.000 14.359
Se 0.000 0.000 17.716
S 1.652 0.954 7.441
S 1.652 0.954 10.508
S 1.652 0.954 21.567
S 1.652 0.954 24.635
```

---

No. 3
Here is crystalline CuIO4 at its relaxed geometry from the Materials Project. Energies are from GGA-PBE.

Cell and atoms, written as extended XYZ:
```
24
Lattice="10.523 0.000 0.000 0.000 6.443 0.000 0.000 0.000 5.469" Properties=species:S:1:pos:R:3 pbc="T T T"
Cu 0.000 0.000 0.000
Cu 0.000 3.221 0.000
Cu 5.261 0.000 2.734
Cu 5.261 3.221 2.734
I 2.583 1.611 0.084
I 2.679 4.832 2.818
I 7.844 1.611 2.650
I 7.940 4.832 5.385
O 0.388 1.611 0.850
O 1.275 4.832 1.680
O 1.680 0.178 4.667
O 1.680 3.043 4.667
O 3.581 3.399 1.932
O 3.581 6.265 1.932
O 3.986 1.611 4.415
O 4.873 4.832 3.584
O 5.650 1.611 1.884
O 6.537 4.832 1.054
O 6.942 0.178 3.537
O 6.942 3.043 3.537
O 8.843 3.399 0.802
O 8.843 6.265 0.802
O 9.248 1.611 3.789
O 10.135 4.832 4.619
```

---

No. 4
Here is crystalline BaH4O3 at its relaxed geometry from the Materials Project. Energies are from GGA-PBE.

Computed properties:
Largest piezoelectric modulus, C/m2: 0.27
Offset from the most stable computed form, meV per atom: 0

Cell and atoms, written as extended XYZ:
```
16
Lattice="3.938 0.000 0.000 0.000 6.419 0.000 0.000 0.000 7.043" Properties=species:S:1:pos:R:3 pbc="T T T"
Ba 0.000 0.916 0.000
Ba 0.000 5.502 3.522
H 0.792 2.416 3.980
H 0.792 4.003 0.459
H 1.969 1.251 2.497
H 1.969 3.105 5.952
H 1.969 3.313 2.431
H 1.969 5.168 6.019
H 3.146 2.416 3.980
H 3.146 4.003 0.459
O 0.000 1.887 4.336
O 0.000 4.531 0.814
O 1.969 0.410 1.999
O 1.969 2.998 6.924
O 1.969 3.421 3.402
O 1.969 6.009 5.521
```

---

No. 5
Here is crystalline Si2Pd9 at its relaxed geometry from the Materials Project. Energies are from GGA-PBE.

Cell and atoms, written as extended XYZ:
```
44
Lattice="9.177 0.000 0.000 0.000 7.535 0.000 0.000 0.000 9.556" Properties=species:S:1:pos:R:3 pbc="T T T"
Si 1.213 1.884 2.023
Si 2.087 5.651 3.076
Si 2.502 1.884 7.854
Si 3.376 5.651 6.801
Si 5.801 1.884 2.755
Si 6.675 5.651 1.701
Si 7.091 1.884 6.479
Si 7.965 5.651 7.533
Pd 0.461 1.884 6.356
Pd 0.545 1.884 9.273
Pd 0.936 4.265 7.826
Pd 0.936 7.037 7.826
Pd 1.029 0.434 3.883
Pd 1.029 3.334 3.883
Pd 1.366 5.651 5.421
Pd 1.672 4.212 1.172
Pd 1.672 7.090 1.172
Pd 2.917 0.444 5.950
Pd 2.917 3.323 5.950
Pd 3.222 1.884 0.643
Pd 3.560 4.201 8.661
Pd 3.560 7.101 8.661
Pd 3.653 0.498 3.048
Pd 3.653 3.270 3.048
Pd 4.044 5.651 4.495
Pd 4.128 5.651 1.578
Pd 5.049 1.884 7.978
Pd 5.133 1.884 5.061
Pd 5.525 4.265 6.508
Pd 5.525 7.037 6.508
Pd 5.618 0.434 0.895
Pd 5.618 3.334 0.895
Pd 5.955 5.651 8.912
Pd 6.261 4.212 3.606
Pd 6.261 7.090 3.606
Pd 7.505 0.444 8.384
Pd 7.505 3.323 8.384
Pd 7.811 1.884 4.135
Pd 8.148 4.201 5.673
Pd 8.148 7.101 5.673
Pd 8.241 0.498 1.730
Pd 8.241 3.270 1.730
Pd 8.633 5.651 0.283
Pd 8.717 5.651 3.200
```

---

No. 6
Here is crystalline BaEr2S4 at its relaxed geometry from the Materials Project. Energies are from GGA-PBE.

Cell and atoms, written as extended XYZ:
```
28
Lattice="12.255 0.000 0.000 0.000 4.021 0.000 0.000 0.000 14.477" Properties=species:S:1:pos:R:3 pbc="T T T"
Ba 2.964 1.005 2.354
Ba 3.164 3.016 9.593
Ba 9.091 1.005 4.884
Ba 9.292 3.016 12.122
Er 0.812 1.005 5.670
Er 0.966 1.005 13.013
Er 5.162 3.016 5.775
Er 5.315 3.016 12.908
Er 6.940 1.005 1.568
Er 7.093 1.005 8.702
Er 11.290 3.016 1.464
Er 11.443 3.016 8.807
S 0.281 3.016 11.339
S 0.996 1.005 8.346
S 1.515 3.016 0.335
S 2.534 3.016 4.900
S 3.594 1.005 12.138
S 4.612 1.005 7.573
S 5.132 3.016 1.107
S 5.846 1.005 4.101
S 6.409 3.016 10.376
S 7.123 1.005 13.369
S 7.643 3.016 6.904
S 8.661 3.016 2.339
S 9.721 1.005 9.577
S 10.740 1.005 14.142
S 11.259 3.016 6.131
S 11.974 1.005 3.138
```

---

Number 1: E_form -2.85 eV/atom. Number 2: E_form -0.76 eV/atom. Number 3: E_form -0.82 eV/atom. Number 4: E_form -1.78 eV/atom. Number 5: E_form -0.45 eV/atom. Number 6: E_form -2.43 eV/atom.